Here is crystalline Li7Mn2Co3O12 at its relaxed geometry from the Materials Project. Energies are from meta-GGA r2SCAN.

Output
energy relative to the lowest polymorph listed for this composition: 41.7 meV/atom
symmetry: No. 1
energy of formation from the pure elements: -1.967 eV/atom
energy: -0.6267 Ry per atom

Lattice parameters (Å, degrees): 2.817 7.465 9.578 80.03 89.99 79.13
Element x y z (fractional)
Li1 0.000 0.000 0.000
Li2 0.082 0.835 0.771
Li3 0.239 0.516 0.246
Li4 0.428 0.151 0.776
Li5 0.577 0.854 0.218
Li6 0.742 0.512 0.757
Li7 0.913 0.172 0.239
Mn1 0.334 0.332 0.004
Mn2 0.496 0.006 0.502
Co1 0.163 0.672 0.498
Co2 0.660 0.679 0.000
Co3 0.829 0.341 0.504
O1 0.037 0.924 0.391
O2 0.127 0.747 0.115
O3 0.207 0.585 0.891
O4 0.284 0.430 0.607
O5 0.373 0.252 0.396
O6 0.444 0.112 0.120
O7 0.546 0.907 0.882
O8 0.619 0.760 0.606
O9 0.708 0.583 0.394
O10 0.787 0.425 0.112
O11 0.866 0.269 0.888
O12 0.954 0.090 0.613